Sr3Al2Cl2O5 GGA-PBE relaxed; crystal system = orthorhombic; total DFT energy (no corrections) = -303.88 eV for the cell shown; E (MP2020) = -6.6172 eV/atom; size of the total moment = 0.00 μB/f.u.; ΔE_f = -3.20 eV per atom; mass density = 3.61 g/cm³
1.0
-9.170 -2.404 0.600
2.068 -6.154 6.955
-1.373 6.848 6.468
O Sr Cl Al
20 12 8 8
Cartesian
-2.560 -7.186 7.265
-2.222 -1.854 11.991
-3.881 -1.344 9.624
0.282 -0.613 2.730
0.162 0.365 6.697
-4.242 -0.881 6.837
-0.682 3.449 3.408
-1.666 1.339 1.725
-8.037 -4.618 8.168
-8.315 -1.648 13.945
-9.464 1.196 10.534
-1.288 -2.557 9.257
-3.374 -4.254 3.832
-5.421 2.116 3.570
-3.252 5.295 7.532
-5.919 0.532 8.694
-5.312 3.154 7.522
-6.062 -3.878 3.000
-6.346 -2.282 8.255
-7.142 -3.439 5.634
-4.214 0.450 11.394
-1.354 -3.102 3.005
-2.093 -5.298 8.785
-4.713 -2.757 5.305
-7.664 -6.401 6.396
-8.323 -0.270 8.909
-1.820 4.904 5.046
-1.851 -0.823 7.491
-0.117 1.248 4.413
-7.975 4.515 7.528
-4.952 1.282 5.842
-5.769 -4.012 10.020
-8.036 1.567 6.412
-4.879 -5.194 7.235
-2.168 2.292 6.777
-1.321 0.731 10.183
-2.712 -0.526 4.214
-6.722 -1.383 11.388
-1.556 -3.625 6.166
-6.502 -0.705 3.713
-7.544 -3.990 3.985
-5.857 2.286 8.982
0.397 -3.054 8.960
-4.706 4.638 6.739
-5.096 -1.015 8.360
-2.679 -2.429 10.372
-0.791 -0.170 1.376
-7.621 -3.108 7.314


MnCu8Sb3S13N6 GGA-PBE relaxed; crystal system = cubic; total DFT energy (no corrections) = -277.29 eV for the cell shown; E (MP2020) = -4.7533 eV/atom; size of the total moment = 7.77 μB/f.u.; ΔE_f = 0.35 eV per atom; mass density = 3.47 g/cm³
1.0
0.000 8.813 8.813
8.813 0.000 8.813
8.813 8.813 0.000
S Cu Mn N Sb
26 16 2 12 6
Cartesian
14.528 10.856 8.813
3.097 6.770 8.813
11.910 8.813 6.770
6.770 8.813 14.528
10.856 8.813 14.528
0.000 0.000 0.000
10.856 11.910 8.813
3.097 10.856 8.813
8.813 6.770 5.715
8.813 3.097 6.770
5.715 8.813 10.856
8.813 8.813 8.813
11.910 8.813 10.856
6.770 8.813 3.097
8.813 14.528 6.770
10.856 8.813 3.097
8.813 3.097 10.856
10.856 5.715 8.813
8.813 6.770 11.910
6.770 5.715 8.813
6.770 11.910 8.813
8.813 14.528 10.856
14.528 6.770 8.813
8.813 10.856 11.910
8.813 10.856 5.715
5.715 8.813 6.770
7.322 7.322 7.322
7.322 10.304 7.322
10.304 16.135 10.304
10.304 7.322 7.322
10.304 10.304 10.304
1.491 1.491 1.491
7.322 7.322 1.491
7.322 7.322 10.304
10.304 7.322 10.304
10.304 10.304 7.322
10.304 10.304 16.135
1.491 7.322 7.322
16.135 16.135 16.135
16.135 10.304 10.304
7.322 1.491 7.322
7.322 10.304 10.304
4.406 4.406 4.406
13.219 13.219 13.219
13.219 11.380 13.219
13.219 15.058 13.219
11.380 13.219 13.219
15.058 13.219 13.219
6.246 4.406 4.406
13.219 13.219 15.058
13.219 13.219 11.380
4.406 4.406 6.246
2.567 4.406 4.406
4.406 2.567 4.406
4.406 6.246 4.406
4.406 4.406 2.567
13.219 8.813 8.813
8.813 8.813 4.406
4.406 8.813 8.813
8.813 4.406 8.813
8.813 13.219 8.813
8.813 8.813 13.219


Na8CaSi5Ge3SO24 GGA-PBE relaxed; crystal system = triclinic; total DFT energy (no corrections) = -798.45 eV for the cell shown; E (MP2020) = -6.7295 eV/atom; size of the total moment = 0.00 μB/f.u.; ΔE_f = -2.53 eV per atom; mass density = 3.22 g/cm³
1.0
-2.078 -2.883 8.299
4.276 -5.447 -5.762
18.940 7.974 7.831
Na S Ge O Si Ca
24 3 9 72 15 3
Cartesian
3.362 0.012 7.198
5.326 -1.085 2.802
18.817 7.919 7.781
15.527 0.866 7.542
18.137 0.868 11.277
15.773 2.892 10.109
7.075 -0.968 9.602
9.494 3.993 3.932
9.433 -2.422 5.306
13.846 1.166 11.959
4.981 -5.602 -2.400
12.003 2.003 5.286
6.298 -1.132 6.352
5.239 -4.381 6.564
7.448 2.292 5.746
17.868 4.705 8.227
14.092 -2.466 4.561
13.418 4.784 9.071
13.924 0.758 0.767
14.871 0.673 4.222
15.966 5.051 12.760
5.173 -3.344 0.165
3.005 -5.066 2.103
2.865 -1.420 -1.223
8.321 -4.303 -1.305
10.391 0.006 10.628
6.285 -3.839 3.643
14.143 3.940 14.985
16.578 -0.082 -0.462
17.538 1.896 5.318
18.618 4.051 11.287
11.993 -0.591 2.992
9.132 0.102 7.175
2.633 0.843 0.919
2.419 -4.517 -0.990
8.246 -1.767 1.478
21.396 2.350 5.316
17.797 2.021 7.225
3.824 -3.573 -1.950
21.152 1.434 2.885
11.574 -2.305 3.192
11.514 3.236 8.548
9.601 -3.612 -1.564
6.563 -1.245 0.785
4.396 -0.204 4.983
19.167 0.377 9.098
15.785 5.056 6.922
12.698 -0.509 4.780
13.151 0.532 7.080
1.139 -5.127 3.956
13.471 3.170 10.781
5.480 -5.066 3.423
16.667 0.138 5.641
3.850 -5.462 -0.190
17.294 2.950 12.218
7.468 -4.396 -2.528
13.800 4.051 13.187
3.422 -2.277 2.766
13.568 4.049 5.611
13.713 -0.909 2.411
12.743 1.521 2.889
2.782 -3.204 0.448
10.772 -0.787 6.857
16.990 1.593 3.462
18.229 2.838 9.722
16.874 -0.770 9.860
4.360 0.290 0.617
10.885 4.074 5.959
1.838 -1.031 5.812
10.429 -4.305 4.197
4.732 -1.457 9.485
11.426 -1.088 -1.272
8.526 -0.239 5.456
5.550 -2.798 4.412
8.133 -0.923 3.060
7.506 -4.088 4.431
17.087 5.067 10.643
9.676 0.819 11.642
8.283 -1.571 7.661
3.274 -6.673 4.092
18.120 3.711 4.836
11.607 -0.268 1.207
15.524 -2.030 6.592
9.512 -0.015 9.414
11.723 0.548 10.321
3.140 -4.459 5.699
14.779 0.677 9.902
6.651 -3.333 2.273
10.509 0.264 3.590
12.938 -2.238 6.891
14.641 3.030 7.959
7.321 0.805 7.557
16.519 0.918 1.033
15.746 2.654 5.515
20.315 2.446 8.013
4.337 -2.286 7.048
0.791 -2.810 2.392
9.398 -3.175 1.816
19.150 0.977 4.877
7.543 -3.510 -0.301
1.840 -0.779 1.170
-0.164 -2.784 5.061
18.050 6.222 6.246
9.704 1.921 6.961
-0.092 -1.853 7.514
9.152 -0.829 0.223
8.465 1.786 3.735
20.115 4.723 6.317
10.728 -3.622 2.778
17.029 -1.404 6.166
8.927 0.268 3.932
12.402 -0.711 6.415
17.361 2.070 1.919
20.745 1.115 4.468
10.406 3.406 7.417
6.076 0.331 0.300
18.856 1.901 8.490
14.941 3.707 6.530
2.301 -5.644 5.033
0.299 -1.441 5.922
2.222 -2.330 1.717
10.693 -0.234 -0.124
18.873 5.094 5.330
6.742 2.833 2.801
3.289 -2.409 4.983
13.063 1.767 8.935


Sn2BF7 GGA-PBE relaxed; crystal system = orthorhombic; total DFT energy (no corrections) = -213.34 eV for the cell shown; E (MP2020) = -5.6569 eV/atom; ΔE_f = -2.85 eV per atom; mass density = 3.59 g/cm³
1.0
5.458 0.000 0.000
0.000 9.015 0.000
0.000 0.000 14.318
B F Sn
4 28 8
Cartesian
1.365 1.665 5.321
1.365 6.172 1.838
4.094 7.351 8.997
4.094 2.843 12.480
4.094 8.098 0.663
1.365 1.892 6.732
0.001 3.179 9.146
4.094 2.616 13.891
2.728 3.179 9.146
5.457 5.837 5.171
2.525 0.933 4.991
2.933 8.083 9.327
4.094 6.105 9.680
5.254 8.083 9.327
4.094 7.123 7.586
4.094 3.591 6.495
2.730 1.329 1.988
1.365 2.910 4.638
2.933 3.575 12.150
0.001 7.686 12.330
1.365 0.917 13.654
2.730 5.837 5.171
0.204 0.933 4.991
5.254 3.575 12.150
2.728 7.686 12.330
1.365 6.399 0.427
0.204 5.440 2.168
5.457 1.329 1.988
1.365 7.417 2.521
1.365 5.425 7.822
4.094 1.598 11.796
2.525 5.440 2.168
1.365 2.475 0.791
1.365 0.166 11.608
4.094 8.849 2.710
4.094 6.540 13.527
1.365 6.982 6.368
4.094 4.341 4.449
1.365 4.674 9.869
4.094 2.033 7.950


EuBr2 GGA-PBE relaxed; crystal system = tetragonal; total DFT energy (no corrections) = -196.73 eV for the cell shown; E (MP2020) = -6.9137 eV/atom; ΔE_f = -2.40 eV per atom; mass density = 5.32 g/cm³
1.0
11.621 0.000 0.000
0.000 11.621 0.000
0.000 0.000 7.201
Br Eu
20 10
Cartesian
9.190 6.945 4.485
9.214 4.771 0.699
1.039 3.404 0.699
8.217 1.039 6.502
0.000 0.000 0.000
3.380 1.135 2.716
4.675 9.190 2.716
3.404 10.581 6.502
10.485 3.380 4.485
2.431 4.675 4.485
2.407 6.850 0.699
4.771 2.407 6.502
0.000 0.000 3.601
6.850 9.214 6.502
5.810 5.810 3.601
10.581 8.217 0.699
6.945 2.431 2.716
5.810 5.810 0.000
1.135 8.241 4.485
8.241 10.485 2.716
0.000 5.810 6.137
1.717 9.722 1.789
3.912 4.093 1.789
4.093 7.709 5.412
7.709 7.528 1.789
5.810 0.000 1.064
7.528 3.912 5.412
9.903 1.898 1.789
9.722 9.903 5.412
1.898 1.717 5.412


CdBi8Br10O8 GGA-PBE relaxed; crystal system = orthorhombic; total DFT energy (no corrections) = -117.01 eV for the cell shown; E (MP2020) = -4.5373 eV/atom; size of the total moment = 0.01 μB/f.u.; ΔE_f = -1.28 eV per atom; mass density = 7.05 g/cm³
1.0
2.792 -20.488 0.000
2.792 20.488 0.000
0.000 0.000 5.583
Bi Br O Cd
8 10 8 1
Cartesian
2.792 13.245 2.792
2.792 -7.221 0.000
2.792 -4.693 2.792
2.792 4.693 2.792
2.792 7.221 0.000
2.792 -15.794 0.000
2.792 15.794 0.000
2.792 -13.245 2.792
2.792 -8.822 2.792
2.792 17.431 2.792
2.792 0.000 2.792
0.000 0.000 0.000
2.792 3.135 0.000
2.792 -17.431 2.792
2.792 8.822 2.792
2.792 -3.135 0.000
2.792 -11.666 0.000
2.792 11.666 0.000
1.389 -5.965 1.403
4.194 5.965 4.181
1.389 -5.965 4.181
4.194 -5.965 1.403
4.194 -5.965 4.181
4.194 5.965 1.403
1.389 5.965 1.403
1.389 5.965 4.181
0.000 0.000 2.792


KAsF6 GGA-PBE relaxed; crystal system = trigonal; total DFT energy (no corrections) = -36.43 eV for the cell shown; E (MP2020) = -4.9004 eV/atom; ΔE_f = -2.74 eV per atom; mass density = 3.06 g/cm³
1.0
-4.564 -2.120 -0.172
2.170 -3.266 3.159
-1.037 3.622 3.342
F As K
6 1 1
Cartesian
-1.553 1.994 3.826
-4.033 0.871 2.626
-3.924 -1.866 1.464
0.493 0.101 4.865
0.602 -2.636 3.703
-1.878 -3.759 2.503
0.000 0.000 0.000
-1.715 -0.882 3.165